The following is a DFT calculation (PBE) of crystalline Tm5Ir3 at its relaxed geometry.

Lattice parameters (Å, degrees): 10.742 10.742 6.307 90.00 90.00 90.00
Fractional positions:
Tm 0.588 0.209 0.377
Tm 0.912 0.709 0.123
Tm 0.500 0.500 0.000
Tm 0.291 0.912 0.877
Tm 0.588 0.791 0.877
Tm 0.000 0.000 0.000
Tm 0.412 0.791 0.377
Tm 0.209 0.412 0.623
Tm 0.412 0.209 0.877
Tm 0.791 0.588 0.623
Tm 0.000 0.000 0.500
Tm 0.088 0.291 0.123
Tm 0.291 0.088 0.377
Tm 0.209 0.588 0.123
Tm 0.088 0.709 0.623
Tm 0.709 0.912 0.377
Tm 0.912 0.291 0.623
Tm 0.791 0.412 0.123
Tm 0.500 0.500 0.500
Tm 0.709 0.088 0.877
Ir 0.500 0.000 0.121
Ir 0.000 0.500 0.879
Ir 0.000 0.500 0.379
Ir 0.500 0.000 0.621
Ir 0.154 0.154 0.750
Ir 0.346 0.346 0.250
Ir 0.654 0.346 0.750
Ir 0.654 0.654 0.250
Ir 0.846 0.846 0.750
Ir 0.154 0.846 0.250
Ir 0.846 0.154 0.250
Ir 0.346 0.654 0.750

Output
Its energy above the lowest structure with this stoichiometry is 0 meV per atom. As for the space-group type: P4/ncc (130). Its formation energy is -0.88 eV/atom.



The following is a DFT calculation (PBE) of crystalline Mg3Te4O11 at its relaxed geometry.

Lattice parameters (Å, degrees): 8.201 8.299 8.920 65.36 70.21 75.80
Fractional positions:
O 0.634 0.776 0.878
O 0.575 0.143 0.393
O 0.838 0.838 0.569
O 0.215 0.706 0.480
O 0.301 0.489 0.291
O 0.684 0.371 0.026
O 0.662 0.517 0.243
O 0.122 0.996 0.830
O 0.162 0.162 0.431
O 0.923 0.623 0.335
O 0.366 0.224 0.122
O 0.316 0.629 0.974
O 0.568 0.875 0.198
O 0.425 0.857 0.607
O 0.785 0.294 0.520
O 0.238 0.891 0.135
O 0.762 0.109 0.865
O 0.432 0.125 0.802
O 0.077 0.377 0.665
O 0.878 0.004 0.170
O 0.699 0.511 0.709
O 0.338 0.483 0.757
Mg 0.552 0.302 0.893
Mg 0.448 0.698 0.107
Mg 0.023 0.814 0.348
Mg 0.590 0.986 0.646
Mg 0.977 0.186 0.652
Mg 0.410 0.014 0.354
Te 0.803 0.899 0.053
Te 0.759 0.273 0.227
Te 0.183 0.372 0.220
Te 0.241 0.727 0.773
Te 0.297 0.460 0.548
Te 0.817 0.628 0.780
Te 0.197 0.101 0.947
Te 0.703 0.540 0.452

Output
Its total magnetization is 0.0 μB per formula unit. As for the space-group type: P-1 (2). Its formation energy is -2.02 eV/atom.



What did the second record say?
The following is a DFT calculation (PBE) of crystalline Mg3Te4O11 at its relaxed geometry.

Lattice parameters (Å, degrees): 8.201 8.299 8.920 65.36 70.21 75.80
Fractional positions:
O 0.634 0.776 0.878
O 0.575 0.143 0.393
O 0.838 0.838 0.569
O 0.215 0.706 0.480
O 0.301 0.489 0.291
O 0.684 0.371 0.026
O 0.662 0.517 0.243
O 0.122 0.996 0.830
O 0.162 0.162 0.431
O 0.923 0.623 0.335
O 0.366 0.224 0.122
O 0.316 0.629 0.974
O 0.568 0.875 0.198
O 0.425 0.857 0.607
O 0.785 0.294 0.520
O 0.238 0.891 0.135
O 0.762 0.109 0.865
O 0.432 0.125 0.802
O 0.077 0.377 0.665
O 0.878 0.004 0.170
O 0.699 0.511 0.709
O 0.338 0.483 0.757
Mg 0.552 0.302 0.893
Mg 0.448 0.698 0.107
Mg 0.023 0.814 0.348
Mg 0.590 0.986 0.646
Mg 0.977 0.186 0.652
Mg 0.410 0.014 0.354
Te 0.803 0.899 0.053
Te 0.759 0.273 0.227
Te 0.183 0.372 0.220
Te 0.241 0.727 0.773
Te 0.297 0.460 0.548
Te 0.817 0.628 0.780
Te 0.197 0.101 0.947
Te 0.703 0.540 0.452

Output
Its total magnetization is 0.0 μB per formula unit. As for the space-group type: P-1 (2). Its formation energy is -2.02 eV/atom.